# CsGdCdTe3 (PBE, relaxed)
# Symmetry: Cmcm
# M_tot (μB per formula unit): 7.00
data_CsGdCdTe3
_space_group_name_H-M_alt 'P 1'
_space_group_IT_number 1
_cell_length_a 8.840
_cell_length_b 8.840
_cell_length_c 11.974
_cell_angle_alpha 90.00
_cell_angle_beta 90.00
_cell_angle_gamma 149.72
loop_
_space_group_symop_operation_xyz
'x,y,z'
loop_
_atom_site_label
_atom_site_fract_x
_atom_site_fract_y
_atom_site_fract_z
_atom_site_occupancy
Cs1 0.252 0.748 0.250 1
Cs2 0.748 0.252 0.750 1
Gd1 0.000 0.000 0.000 1
Gd2 0.000 0.000 0.500 1
Cd1 0.540 0.460 0.250 1
Cd2 0.460 0.540 0.750 1
Te1 0.623 0.377 0.047 1
Te2 0.377 0.623 0.953 1
Te3 0.623 0.377 0.453 1
Te4 0.377 0.623 0.547 1
Te5 0.937 0.063 0.250 1
Te6 0.063 0.937 0.750 1

---

# CdSnP14 (PBE, relaxed)
# Symmetry: Pnma
# M_tot (μB per formula unit): 0.00
data_CdSnP14
_space_group_name_H-M_alt 'P 1'
_space_group_IT_number 1
_cell_length_a 9.898
_cell_length_b 11.051
_cell_length_c 13.276
_cell_angle_alpha 90.00
_cell_angle_beta 90.00
_cell_angle_gamma 90.00
loop_
_space_group_symop_operation_xyz
'x,y,z'
loop_
_atom_site_label
_atom_site_fract_x
_atom_site_fract_y
_atom_site_fract_z
_atom_site_occupancy
Cd1 0.250 0.497 0.682 1
Cd2 0.250 0.003 0.182 1
Cd3 0.750 0.503 0.318 1
Cd4 0.750 0.997 0.818 1
Sn1 0.250 0.897 0.833 1
Sn2 0.250 0.603 0.333 1
Sn3 0.750 0.103 0.167 1
Sn4 0.750 0.397 0.667 1
P1 0.250 0.664 0.531 1
P2 0.250 0.836 0.031 1
P3 0.750 0.336 0.469 1
P4 0.750 0.164 0.969 1
P5 0.250 0.278 0.948 1
P6 0.250 0.222 0.448 1
P7 0.750 0.722 0.052 1
P8 0.750 0.778 0.552 1
P9 0.250 0.102 0.585 1
P10 0.250 0.398 0.085 1
P11 0.750 0.898 0.415 1
P12 0.750 0.602 0.915 1
P13 0.250 0.650 0.833 1
P14 0.250 0.850 0.333 1
P15 0.750 0.350 0.167 1
P16 0.750 0.150 0.667 1
P17 0.076 0.154 0.973 1
P18 0.424 0.346 0.473 1
P19 0.576 0.846 0.027 1
P20 0.924 0.654 0.527 1
P21 0.924 0.846 0.027 1
P22 0.576 0.654 0.527 1
P23 0.424 0.154 0.973 1
P24 0.076 0.346 0.473 1
P25 0.083 0.791 0.565 1
P26 0.417 0.709 0.065 1
P27 0.583 0.209 0.435 1
P28 0.917 0.291 0.935 1
P29 0.917 0.209 0.435 1
P30 0.583 0.291 0.935 1
P31 0.417 0.791 0.565 1
P32 0.083 0.709 0.065 1
P33 0.080 0.585 0.926 1
P34 0.420 0.915 0.426 1
P35 0.580 0.415 0.074 1
P36 0.920 0.085 0.574 1
P37 0.920 0.415 0.074 1
P38 0.580 0.085 0.574 1
P39 0.420 0.585 0.926 1
P40 0.080 0.915 0.426 1
P41 0.075 0.167 0.675 1
P42 0.425 0.333 0.175 1
P43 0.575 0.833 0.325 1
P44 0.925 0.667 0.825 1
P45 0.925 0.833 0.325 1
P46 0.575 0.667 0.825 1
P47 0.425 0.167 0.675 1
P48 0.075 0.333 0.175 1
P49 0.044 0.358 0.637 1
P50 0.456 0.142 0.137 1
P51 0.544 0.642 0.363 1
P52 0.956 0.858 0.863 1
P53 0.956 0.642 0.363 1
P54 0.544 0.858 0.863 1
P55 0.456 0.358 0.637 1
P56 0.044 0.142 0.137 1

---

# LiSiBiO4 (PBE, relaxed)
# Symmetry: Pna2_1
# M_tot (μB per formula unit): 0.00
# Relative energy among the computed polymorphs (eV per formula unit): 0.050
data_LiSiBiO4
_space_group_name_H-M_alt 'P 1'
_space_group_IT_number 1
_cell_length_a 5.250
_cell_length_b 7.851
_cell_length_c 8.657
_cell_angle_alpha 90.00
_cell_angle_beta 90.00
_cell_angle_gamma 90.00
loop_
_space_group_symop_operation_xyz
'x,y,z'
loop_
_atom_site_label
_atom_site_fract_x
_atom_site_fract_y
_atom_site_fract_z
_atom_site_occupancy
Li1 0.975 0.779 0.082 1
Li2 0.975 0.279 0.418 1
Li3 0.475 0.721 0.582 1
Li4 0.475 0.221 0.918 1
Si1 0.986 0.237 0.079 1
Si2 0.986 0.737 0.421 1
Si3 0.486 0.263 0.579 1
Si4 0.486 0.763 0.921 1
Bi1 0.453 0.475 0.271 1
Bi2 0.453 0.975 0.229 1
Bi3 0.953 0.025 0.771 1
Bi4 0.953 0.525 0.729 1
O1 0.346 0.731 0.091 1
O2 0.259 0.343 0.081 1
O3 0.072 0.033 0.082 1
O4 0.793 0.280 0.221 1
O5 0.793 0.780 0.279 1
O6 0.072 0.533 0.418 1
O7 0.259 0.843 0.419 1
O8 0.346 0.231 0.409 1
O9 0.846 0.769 0.591 1
O10 0.759 0.157 0.581 1
O11 0.572 0.467 0.582 1
O12 0.293 0.220 0.721 1
O13 0.293 0.720 0.779 1
O14 0.572 0.967 0.918 1
O15 0.759 0.657 0.919 1
O16 0.846 0.269 0.909 1

---

# BaCd4Pt2 (PBE, relaxed)
# Symmetry: P4_2/mnm
data_BaCd4Pt2
_space_group_name_H-M_alt 'P 1'
_space_group_IT_number 1
_cell_length_a 8.542
_cell_length_b 8.542
_cell_length_c 4.513
_cell_angle_alpha 90.00
_cell_angle_beta 90.00
_cell_angle_gamma 90.00
loop_
_space_group_symop_operation_xyz
'x,y,z'
loop_
_atom_site_label
_atom_site_fract_x
_atom_site_fract_y
_atom_site_fract_z
_atom_site_occupancy
Ba1 0.500 0.500 0.500 1
Ba2 0.000 0.000 0.000 1
Cd1 0.343 0.089 0.500 1
Cd2 0.657 0.911 0.500 1
Cd3 0.843 0.411 0.000 1
Cd4 0.157 0.589 0.000 1
Cd5 0.089 0.343 0.500 1
Cd6 0.911 0.657 0.500 1
Cd7 0.411 0.843 0.000 1
Cd8 0.589 0.157 0.000 1
Pt1 0.779 0.221 0.500 1
Pt2 0.221 0.779 0.500 1
Pt3 0.279 0.279 0.000 1
Pt4 0.721 0.721 0.000 1

---

# YEr2Al9 (PBE, relaxed)
# Symmetry: P-6m2
# M_tot (μB per formula unit): 0.03
data_YEr2Al9
_space_group_name_H-M_alt 'P 1'
_space_group_IT_number 1
_cell_length_a 6.101
_cell_length_b 6.101
_cell_length_c 28.681
_cell_angle_alpha 90.00
_cell_angle_beta 90.00
_cell_angle_gamma 120.00
loop_
_space_group_symop_operation_xyz
'x,y,z'
loop_
_atom_site_label
_atom_site_fract_x
_atom_site_fract_y
_atom_site_fract_z
_atom_site_occupancy
Y1 0.667 0.333 0.833 1
Y2 0.667 0.333 0.500 1
Y3 0.667 0.333 0.167 1
Y4 0.333 0.667 0.000 1
Er1 0.333 0.667 0.667 1
Er2 0.333 0.667 0.333 1
Er3 0.000 0.000 0.917 1
Er4 0.000 0.000 0.583 1
Er5 0.000 0.000 0.250 1
Er6 0.000 0.000 0.083 1
Er7 0.000 0.000 0.750 1
Er8 0.000 0.000 0.417 1
Al1 0.183 0.817 0.833 1
Al2 0.183 0.817 0.500 1
Al3 0.183 0.817 0.167 1
Al4 0.183 0.366 0.833 1
Al5 0.183 0.366 0.500 1
Al6 0.183 0.366 0.167 1
Al7 0.634 0.817 0.833 1
Al8 0.634 0.817 0.500 1
Al9 0.634 0.817 0.167 1
Al10 0.817 0.183 0.000 1
Al11 0.817 0.183 0.667 1
Al12 0.817 0.183 0.333 1
Al13 0.817 0.634 0.000 1
Al14 0.817 0.634 0.667 1
Al15 0.817 0.634 0.333 1
Al16 0.366 0.183 0.000 1
Al17 0.366 0.183 0.667 1
Al18 0.366 0.183 0.333 1
Al19 0.000 0.500 0.917 1
Al20 0.001 0.500 0.584 1
Al21 0.001 0.501 0.250 1
Al22 0.500 0.500 0.917 1
Al23 0.500 0.500 0.584 1
Al24 0.499 0.501 0.250 1
Al25 0.500 0.000 0.917 1
Al26 0.500 0.999 0.584 1
Al27 0.499 0.999 0.250 1
Al28 0.001 0.501 0.750 1
Al29 0.001 0.500 0.416 1
Al30 0.000 0.500 0.083 1
Al31 0.500 0.500 0.083 1
Al32 0.499 0.501 0.750 1
Al33 0.500 0.500 0.416 1
Al34 0.499 0.999 0.750 1
Al35 0.500 0.999 0.416 1
Al36 0.500 0.000 0.083 1

---

# Mg6SnB (PBE, relaxed)
# M_tot (μB per formula unit): 0.00
# Relative energy among the computed polymorphs (eV per formula unit): 0.000
data_Mg6SnB
_space_group_name_H-M_alt 'P 1'
_space_group_IT_number 1
_cell_length_a 3.988
_cell_length_b 8.514
_cell_length_c 9.707
_cell_angle_alpha 90.00
_cell_angle_beta 90.00
_cell_angle_gamma 90.00
loop_
_space_group_symop_operation_xyz
'x,y,z'
loop_
_atom_site_label
_atom_site_fract_x
_atom_site_fract_y
_atom_site_fract_z
_atom_site_occupancy
Mg1 0.500 0.754 0.858 1
Mg2 0.500 0.246 0.858 1
Mg3 0.000 0.675 0.118 1
Mg4 0.000 0.325 0.118 1
Mg5 0.000 0.500 0.836 1
Mg6 0.000 0.500 0.378 1
Mg7 0.500 0.254 0.358 1
Mg8 0.500 0.746 0.358 1
Mg9 0.000 0.175 0.618 1
Mg10 0.000 0.825 0.618 1
Mg11 0.000 0.000 0.336 1
Mg12 0.000 0.000 0.878 1
Sn1 0.500 0.500 0.610 1
Sn2 0.500 0.000 0.110 1
B1 0.500 0.500 0.224 1
B2 0.500 0.000 0.724 1

---

# Rb2ThP3Se9 (PBE, relaxed)
# Symmetry: P1
# M_tot (μB per formula unit): 0.00
data_Rb2ThP3Se9
_space_group_name_H-M_alt 'P 1'
_space_group_IT_number 1
_cell_length_a 10.432
_cell_length_b 10.806
_cell_length_c 17.053
_cell_angle_alpha 89.92
_cell_angle_beta 107.43
_cell_angle_gamma 91.74
loop_
_space_group_symop_operation_xyz
'x,y,z'
loop_
_atom_site_label
_atom_site_fract_x
_atom_site_fract_y
_atom_site_fract_z
_atom_site_occupancy
Rb1 0.394 0.901 0.674 1
Rb2 0.665 0.478 0.291 1
Rb3 0.075 0.820 0.989 1
Rb4 0.825 0.391 0.598 1
Rb5 0.912 0.909 0.681 1
Rb6 0.118 0.335 0.272 1
Rb7 0.635 0.972 0.014 1
Rb8 0.344 0.396 0.607 1
Th1 0.567 0.424 0.921 1
Th2 0.173 0.874 0.359 1
Th3 0.145 0.366 0.971 1
Th4 0.595 0.931 0.310 1
P1 0.648 0.222 0.765 1
P2 0.300 0.074 0.150 1
P3 0.440 0.224 0.130 1
P4 0.860 0.577 0.087 1
P5 0.582 0.737 0.488 1
P6 0.879 0.720 0.194 1
P7 0.834 0.148 0.857 1
P8 0.906 0.149 0.423 1
P9 0.092 0.075 0.515 1
P10 0.328 0.685 0.869 1
P11 0.158 0.561 0.793 1
P12 0.412 0.613 0.412 1
Se1 0.666 0.765 0.179 1
Se2 0.073 0.870 0.509 1
Se3 0.099 0.134 0.075 1
Se4 0.364 0.714 0.289 1
Se5 0.018 0.203 0.824 1
Se6 0.001 0.881 0.173 1
Se7 0.994 0.641 0.314 1
Se8 0.263 0.377 0.816 1
Se9 0.499 0.172 0.832 1
Se10 0.386 0.897 0.129 1
Se11 0.402 0.216 0.993 1
Se12 0.355 0.401 0.151 1
Se13 0.738 0.416 0.107 1
Se14 0.477 0.921 0.464 1
Se15 0.666 0.427 0.771 1
Se16 0.338 0.081 0.288 1
Se17 0.466 0.422 0.417 1
Se18 0.843 0.268 0.968 1
Se19 0.487 0.645 0.811 1
Se20 0.616 0.143 0.645 1
Se21 0.722 0.094 0.457 1
Se22 0.123 0.154 0.635 1
Se23 0.001 0.563 0.855 1
Se24 0.791 0.951 0.861 1
Se25 0.897 0.029 0.312 1
Se26 0.074 0.532 0.101 1
Se27 0.745 0.657 0.967 1
Se28 0.376 0.582 0.991 1
Se29 0.948 0.346 0.419 1
Se30 0.739 0.734 0.425 1
Se31 0.252 0.652 0.469 1
Se32 0.639 0.681 0.615 1
Se33 0.241 0.125 0.448 1
Se34 0.277 0.876 0.865 1
Se35 0.641 0.164 0.206 1
Se36 0.100 0.618 0.666 1

---

no.,total DFT energy (no corrections) (eV/cell)
1,-63.875
2,-325.342
3,-183.580
4,-41.903
5,-217.542
6,-37.481
7,-273.669